# Er2Ga9Ru3 PBE-GGA optimized geometry
data_Er2Ga9Ru3
_chemical_formula_sum 'Er8 Ga36 Ru12'
_symmetry_space_group_name_H-M 'C m c m'
_symmetry_Int_Tables_number 63
_symmetry_space_group_name_Hall '-C 2c 2'
_cell_length_a 12.908
_cell_length_b 7.525
_cell_length_c 9.694
_cell_angle_alpha 90.00
_cell_angle_beta 90.00
_cell_angle_gamma 90.00
loop_
_atom_site_label
_atom_site_type_symbol
_atom_site_fract_x
_atom_site_fract_y
_atom_site_fract_z
_atom_site_occupancy
Er1 Er 0.164 0.167 0.250 1
Ga1 Ga 0.000 0.125 0.750 1
Ga2 Ga 0.000 0.337 0.060 1
Ga3 Ga 0.106 0.442 0.750 1
Ga4 Ga 0.165 0.170 0.576 1
Ru1 Ru 0.000 0.000 0.000 1
Ru2 Ru 0.174 0.500 0.000 1
# * formation enthalpy at 0 K: -0.53 eV per atom
# * DFT total energy: -5.12 eV per atom